Entry 1:
{"formula": "KMgScMo2O8", "functional": "GGA+U", "state": "relaxed", "lattice_angstrom": [[5.7946, 0.0000, 0.0000], [-2.8973, 5.0182, 0.0000], [0.0000, 0.0000, 7.1563]], "species": ["Mo", "Mo", "O", "O", "O", "O", "O", "O", "O", "O", "Mg", "K", "Sc"], "frac_coords": [[0.6667, 0.3333, 0.7096], [0.3333, 0.6667, 0.3068], [0.3431, 0.1715, 0.8123], [0.1620, 0.3240, 0.1729], [0.6667, 0.3333, 0.4504], [0.6760, 0.8380, 0.1729], [0.8285, 0.1715, 0.8123], [0.1620, 0.8380, 0.1729], [0.3333, 0.6667, 0.5583], [0.8285, 0.6569, 0.8123], [0.6667, 0.3333, 0.1776], [0.0000, 0.0000, 0.4971], [0.0000, 0.0000, 0.0142]], "relative_energy_ev_per_atom": 0.000, "ef_ev_per_atom": -2.2500, "dft_energy_ev_per_atom": -6.744}

=====

Entry 2:
{"formula": "Li4MnV3P8O28", "functional": "GGA+U", "state": "relaxed", "lattice_angstrom": [[-2.9524, 2.4430, 3.0171], [-5.6652, -6.0069, -0.7612], [5.6529, -6.4726, 10.2394]], "species": ["P", "P", "P", "P", "P", "P", "P", "P", "V", "V", "V", "O", "O", "O", "O", "O", "O", "O", "O", "O", "O", "O", "O", "O", "O", "O", "O", "O", "O", "O", "O", "O", "O", "O", "O", "O", "O", "O", "O", "Li", "Li", "Li", "Li", "Mn"], "frac_coords": [[0.6405, 0.8228, 0.2393], [0.1711, 0.2167, 0.9568], [0.6696, 0.2158, 0.4557], [0.1390, 0.8196, 0.7383], [0.8611, 0.3199, 0.2589], [0.8304, 0.7159, 0.0432], [0.3607, 0.3190, 0.7611], [0.3320, 0.7126, 0.5433], [0.6485, 0.0001, 0.8643], [0.8510, 0.4995, 0.6364], [0.3510, 0.5013, 0.1359], [0.0941, 0.3216, 0.6977], [0.4482, 0.9646, 0.2594], [0.6878, 0.3045, 0.5562], [0.1239, 0.6753, 0.0743], [0.7215, 0.8481, 0.1240], [0.1434, 0.5631, 0.5435], [0.5043, 0.1559, 0.7528], [0.5549, 0.4608, 0.7414], [0.6246, 0.6734, 0.5772], [0.3696, 0.1755, 0.4277], [0.6424, 0.5665, 0.0421], [0.8541, 0.0661, 0.4584], [0.1912, 0.3046, 0.0569], [0.8099, 0.8026, 0.9432], [0.7817, 0.3444, 0.3754], [0.9946, 0.6564, 0.7468], [0.5908, 0.3258, 0.1974], [0.9458, 0.9611, 0.7588], [0.9069, 0.8244, 0.3042], [0.0013, 0.1582, 0.2473], [0.3173, 0.7955, 0.4428], [0.3558, 0.0670, 0.9576], [0.0534, 0.4641, 0.2413], [0.8764, 0.1760, 0.9254], [0.2824, 0.3472, 0.8765], [0.2203, 0.8459, 0.6234], [0.4964, 0.6591, 0.2469], [0.4049, 0.8223, 0.8024], [0.3373, 0.1387, 0.1632], [0.1608, 0.6397, 0.3373], [0.6600, 0.6389, 0.8374], [0.8389, 0.1375, 0.6622], [0.1501, 0.0007, 0.3658]], "relative_energy_ev_per_atom": 0.000, "ef_ev_per_atom": -2.6921, "dft_energy_ev_per_atom": -7.235}

=====

Entry 3:
{"formula": "VHO3", "functional": "GGA+U", "state": "relaxed", "lattice_angstrom": [[4.9554, 0.0000, -0.9501], [0.0000, 8.7723, 0.0000], [-0.5871, 0.0000, 7.9767]], "species": ["H", "H", "H", "H", "H", "H", "O", "O", "O", "O", "O", "O", "O", "O", "O", "O", "O", "O", "O", "O", "O", "O", "O", "O", "V", "V", "V", "V", "V", "V"], "frac_coords": [[0.8368, 0.2432, 0.4348], [0.0958, 0.1574, 0.5920], [0.9119, 0.8398, 0.4173], [0.9042, 0.6574, 0.4080], [0.0881, 0.3398, 0.5827], [0.1632, 0.7432, 0.5652], [0.3560, 0.4440, 0.6607], [0.3258, 0.5888, 0.0000], [0.6491, 0.5493, 0.3411], [0.9631, 0.2473, 0.5611], [0.1187, 0.2465, 0.9306], [0.6742, 0.0888, 0.0000], [0.3224, 0.9063, 0.9972], [0.3509, 0.0493, 0.6589], [0.8383, 0.8942, 0.7700], [0.3574, 0.7460, 0.7421], [0.6440, 0.9440, 0.3393], [0.0369, 0.7473, 0.4389], [0.8415, 0.5996, 0.7703], [0.1585, 0.0996, 0.2297], [0.6776, 0.4063, 0.0028], [0.8813, 0.7465, 0.0694], [0.6426, 0.2460, 0.2579], [0.1617, 0.3942, 0.2300], [0.5244, 0.9413, 0.8172], [0.9431, 0.2467, 0.0753], [0.4729, 0.0528, 0.1817], [0.5271, 0.5528, 0.8183], [0.4756, 0.4413, 0.1828], [0.0569, 0.7467, 0.9247]], "ef_ev_per_atom": -1.9647, "dft_energy_ev_per_atom": -6.677}

=====

Entry 4:
{"formula": "Rb2CoP4H8O16", "functional": "GGA+U", "state": "relaxed", "lattice_angstrom": [[0.3389, 7.4386, 0.0052], [-4.4745, 1.0555, 7.3764], [9.7338, 0.7934, 7.3271]], "species": ["O", "O", "O", "O", "O", "O", "O", "O", "O", "O", "O", "O", "O", "O", "O", "O", "O", "O", "O", "O", "O", "O", "O", "O", "O", "O", "O", "O", "O", "O", "O", "O", "Rb", "Rb", "Rb", "Rb", "Co", "Co", "H", "H", "H", "H", "H", "H", "H", "H", "H", "H", "H", "H", "H", "H", "H", "H", "P", "P", "P", "P", "P", "P", "P", "P"], "frac_coords": [[0.3839, 0.0283, 0.8466], [0.0614, 0.0286, 0.7952], [0.6399, 0.7011, 0.4437], [0.3141, 0.3913, 0.1804], [0.3839, 0.5284, 0.3465], [0.2300, 0.7735, 0.8708], [0.6857, 0.1086, 0.3196], [0.7177, 0.8640, 0.9266], [0.2300, 0.2736, 0.3708], [0.9835, 0.1987, 0.9542], [0.3143, 0.8914, 0.6804], [0.7699, 0.2265, 0.1292], [0.3601, 0.2989, 0.5563], [0.0165, 0.8013, 0.0458], [0.9836, 0.6987, 0.4542], [0.6161, 0.4716, 0.6535], [0.6161, 0.9717, 0.1534], [0.9386, 0.9714, 0.2048], [0.0164, 0.3013, 0.5458], [0.7749, 0.4441, 0.9902], [0.7700, 0.7264, 0.6292], [0.2823, 0.1360, 0.0734], [0.2823, 0.6360, 0.5734], [0.7177, 0.3640, 0.4266], [0.6398, 0.2011, 0.9437], [0.2250, 0.0559, 0.5098], [0.3602, 0.7989, 0.0563], [0.6859, 0.6087, 0.8196], [0.9386, 0.4714, 0.7048], [0.2251, 0.5559, 0.0098], [0.7750, 0.9441, 0.4902], [0.0614, 0.5286, 0.2952], [0.2896, 0.3996, 0.8090], [0.7104, 0.1004, 0.6910], [0.2896, 0.8996, 0.3090], [0.7105, 0.6004, 0.1910], [0.5000, 0.5000, 0.5000], [0.5000, 0.0000, 0.0000], [0.2613, 0.9944, 0.5836], [0.1682, 0.6582, 0.5367], [0.9740, 0.9065, 0.1380], [0.8318, 0.3418, 0.4633], [0.8318, 0.8419, 0.9633], [0.2613, 0.4943, 0.0836], [0.0260, 0.0935, 0.8620], [0.7387, 0.0056, 0.4164], [0.9740, 0.4065, 0.6380], [0.7015, 0.2730, 0.3870], [0.1682, 0.1581, 0.0367], [0.0260, 0.5935, 0.3620], [0.2985, 0.2269, 0.1130], [0.7387, 0.5057, 0.9164], [0.2986, 0.7270, 0.6130], [0.7015, 0.7731, 0.8870], [0.7926, 0.7620, 0.4947], [0.2556, 0.4369, 0.2959], [0.2074, 0.2380, 0.5053], [0.7925, 0.2619, 0.9947], [0.7444, 0.5631, 0.7041], [0.2557, 0.9369, 0.7959], [0.2075, 0.7381, 0.0053], [0.7443, 0.0631, 0.2041]], "ef_ev_per_atom": -2.0886, "dft_energy_ev_per_atom": -6.102}

=====

What did the fourth record say?
{"formula": "Rb2CoP4H8O16", "functional": "GGA+U", "state": "relaxed", "lattice_angstrom": [[0.3389, 7.4386, 0.0052], [-4.4745, 1.0555, 7.3764], [9.7338, 0.7934, 7.3271]], "species": ["O", "O", "O", "O", "O", "O", "O", "O", "O", "O", "O", "O", "O", "O", "O", "O", "O", "O", "O", "O", "O", "O", "O", "O", "O", "O", "O", "O", "O", "O", "O", "O", "Rb", "Rb", "Rb", "Rb", "Co", "Co", "H", "H", "H", "H", "H", "H", "H", "H", "H", "H", "H", "H", "H", "H", "H", "H", "P", "P", "P", "P", "P", "P", "P", "P"], "frac_coords": [[0.3839, 0.0283, 0.8466], [0.0614, 0.0286, 0.7952], [0.6399, 0.7011, 0.4437], [0.3141, 0.3913, 0.1804], [0.3839, 0.5284, 0.3465], [0.2300, 0.7735, 0.8708], [0.6857, 0.1086, 0.3196], [0.7177, 0.8640, 0.9266], [0.2300, 0.2736, 0.3708], [0.9835, 0.1987, 0.9542], [0.3143, 0.8914, 0.6804], [0.7699, 0.2265, 0.1292], [0.3601, 0.2989, 0.5563], [0.0165, 0.8013, 0.0458], [0.9836, 0.6987, 0.4542], [0.6161, 0.4716, 0.6535], [0.6161, 0.9717, 0.1534], [0.9386, 0.9714, 0.2048], [0.0164, 0.3013, 0.5458], [0.7749, 0.4441, 0.9902], [0.7700, 0.7264, 0.6292], [0.2823, 0.1360, 0.0734], [0.2823, 0.6360, 0.5734], [0.7177, 0.3640, 0.4266], [0.6398, 0.2011, 0.9437], [0.2250, 0.0559, 0.5098], [0.3602, 0.7989, 0.0563], [0.6859, 0.6087, 0.8196], [0.9386, 0.4714, 0.7048], [0.2251, 0.5559, 0.0098], [0.7750, 0.9441, 0.4902], [0.0614, 0.5286, 0.2952], [0.2896, 0.3996, 0.8090], [0.7104, 0.1004, 0.6910], [0.2896, 0.8996, 0.3090], [0.7105, 0.6004, 0.1910], [0.5000, 0.5000, 0.5000], [0.5000, 0.0000, 0.0000], [0.2613, 0.9944, 0.5836], [0.1682, 0.6582, 0.5367], [0.9740, 0.9065, 0.1380], [0.8318, 0.3418, 0.4633], [0.8318, 0.8419, 0.9633], [0.2613, 0.4943, 0.0836], [0.0260, 0.0935, 0.8620], [0.7387, 0.0056, 0.4164], [0.9740, 0.4065, 0.6380], [0.7015, 0.2730, 0.3870], [0.1682, 0.1581, 0.0367], [0.0260, 0.5935, 0.3620], [0.2985, 0.2269, 0.1130], [0.7387, 0.5057, 0.9164], [0.2986, 0.7270, 0.6130], [0.7015, 0.7731, 0.8870], [0.7926, 0.7620, 0.4947], [0.2556, 0.4369, 0.2959], [0.2074, 0.2380, 0.5053], [0.7925, 0.2619, 0.9947], [0.7444, 0.5631, 0.7041], [0.2557, 0.9369, 0.7959], [0.2075, 0.7381, 0.0053], [0.7443, 0.0631, 0.2041]], "ef_ev_per_atom": -2.0886, "dft_energy_ev_per_atom": -6.102}